Entry 1:
DFT (GGA-PBE) results for a relaxed structure of Ca5Si2CO11.

Cell lengths 14.305, 6.786, 10.579 Å; angles 90.00, 101.42, 90.00 degrees
Space group P2_1/c (No. 14)
Inequivalent atoms, fractional coordinates:
1 Ca 0.044 0.057 0.260 (multiplicity 4)
2 Ca 0.111 0.743 0.032 (multiplicity 4)
3 Ca 0.326 0.009 0.133 (multiplicity 4)
4 Ca 0.331 0.008 0.546 (multiplicity 4)
5 Ca 0.427 0.663 0.359 (multiplicity 4)
6 Si 0.104 0.250 0.027 (multiplicity 4)
7 Si 0.443 0.224 0.366 (multiplicity 4)
8 C 0.221 0.700 0.312 (multiplicity 4)
9 O 0.030 0.168 0.898 (multiplicity 4)
10 O 0.033 0.158 0.617 (multiplicity 4)
11 O 0.130 0.717 0.294 (multiplicity 4)
12 O 0.165 0.068 0.107 (multiplicity 4)
13 O 0.170 0.075 0.480 (multiplicity 4)
14 O 0.264 0.700 0.214 (multiplicity 4)
15 O 0.273 0.688 0.428 (multiplicity 4)
16 O 0.387 0.166 0.735 (multiplicity 4)
17 O 0.402 0.503 0.860 (multiplicity 4)
18 O 0.419 0.165 0.995 (multiplicity 4)
19 O 0.441 0.740 0.128 (multiplicity 4)



Entry 2:
DFT (GGA-PBE) results for a relaxed structure of Ca2Y2Si2CO16.

Cell lengths 14.973, 12.830, 6.892 Å; angles 90.00, 90.00, 90.00 degrees
Space group Pnma (No. 62)
Inequivalent atoms, fractional coordinates:
1 Ca 0.058 0.064 0.231 (multiplicity 8)
2 Y 0.211 0.569 0.896 (multiplicity 8)
3 Si 0.075 0.127 0.675 (multiplicity 8)
4 C 0.104 0.750 0.897 (multiplicity 4)
5 O 0.019 0.586 0.432 (multiplicity 8)
6 O 0.060 0.250 0.742 (multiplicity 4)
7 O 0.067 0.661 0.872 (multiplicity 8)
8 O 0.091 0.052 0.862 (multiplicity 8)
9 O 0.105 0.250 0.207 (multiplicity 4)
10 O 0.152 0.116 0.509 (multiplicity 8)
11 O 0.189 0.750 0.947 (multiplicity 4)
12 O 0.201 0.003 0.177 (multiplicity 8)
13 O 0.211 0.663 0.524 (multiplicity 8)
14 O 0.222 0.750 0.430 (multiplicity 4)



Entry 3:
DFT (GGA-PBE) results for a relaxed structure of CaTeCO5.

Cell lengths 7.129, 11.257, 10.705 Å; angles 90.00, 90.00, 90.00 degrees
Space group Pbca (No. 61)
Inequivalent atoms, fractional coordinates:
1 Ca 0.015 0.172 0.010 (multiplicity 8)
2 Te 0.097 0.516 0.868 (multiplicity 8)
3 C 0.237 0.240 0.244 (multiplicity 8)
4 O 0.019 0.609 0.026 (multiplicity 8)
5 O 0.144 0.141 0.225 (multiplicity 8)
6 O 0.156 0.502 0.422 (multiplicity 8)
7 O 0.219 0.729 0.857 (multiplicity 8)
8 O 0.226 0.694 0.650 (multiplicity 8)



Entry 4:
DFT (GGA-PBE) results for a relaxed structure of CaU3C2O20.

Cell lengths 7.115, 17.252, 17.037 Å; angles 90.00, 113.70, 90.00 degrees
Space group P2_1/c (No. 14)
Inequivalent atoms, fractional coordinates:
1 Ca 0.236 0.019 0.265 (multiplicity 4)
2 U 0.132 0.241 0.161 (multiplicity 4)
3 U 0.262 0.714 0.730 (multiplicity 4)
4 U 0.475 0.698 0.447 (multiplicity 4)
5 C 0.043 0.676 0.516 (multiplicity 4)
6 C 0.305 0.186 0.836 (multiplicity 4)
7 O 0.078 0.164 0.614 (multiplicity 4)
8 O 0.111 0.204 0.796 (multiplicity 4)
9 O 0.122 0.656 0.595 (multiplicity 4)
10 O 0.131 0.010 0.752 (multiplicity 4)
11 O 0.143 0.013 0.827 (multiplicity 4)
12 O 0.152 0.190 0.026 (multiplicity 4)
13 O 0.152 0.683 0.471 (multiplicity 4)
14 O 0.182 0.142 0.209 (multiplicity 4)
15 O 0.188 0.737 0.336 (multiplicity 4)
16 O 0.219 0.693 0.175 (multiplicity 4)
17 O 0.293 0.615 0.775 (multiplicity 4)
18 O 0.304 0.067 0.397 (multiplicity 4)
19 O 0.378 0.155 0.910 (multiplicity 4)
20 O 0.406 0.503 0.978 (multiplicity 4)
21 O 0.414 0.564 0.133 (multiplicity 4)
22 O 0.416 0.201 0.793 (multiplicity 4)
23 O 0.452 0.599 0.410 (multiplicity 4)
24 O 0.453 0.242 0.161 (multiplicity 4)
25 O 0.473 0.512 0.259 (multiplicity 4)
26 O 0.490 0.207 0.504 (multiplicity 4)



Entry 5:
DFT (GGA-PBE) results for a relaxed structure of CaPd3C.

Cell lengths 4.282, 4.282, 4.282 Å; angles 90.00, 90.00, 90.00 degrees
Space group Pm-3m (No. 221)
Inequivalent atoms, fractional coordinates:
1 Ca 0.000 0.000 0.000 (multiplicity 1)
2 Pd 0.000 0.500 0.500 (multiplicity 3)
3 C 0.500 0.500 0.500 (multiplicity 1)



Number 1: density 2.93 Mg/m³, formation enthalpy at 0 K -3259 meV per atom. Number 2: density 2.92 Mg/m³, formation enthalpy at 0 K -1974 meV per atom. Number 3: density 4.02 Mg/m³, formation enthalpy at 0 K -2240 meV per atom. Number 4: density 3.81 Mg/m³, formation enthalpy at 0 K -1802 meV per atom. Number 5: density 7.86 Mg/m³, formation enthalpy at 0 K -194 meV per atom.